ScFe3: relaxed, PBE.

Values from the calculation:
Energy relative to the elements   0.664 kcal/mol of atoms
Crystal system   hexagonal
Raw total energy   -7.907 eV per atom

The structure in POSCAR format:
```
ScFe3
1.0
5.487 0.000 0.000
-2.743 4.752 0.000
0.000 0.000 4.352
Sc Fe
2 6
direct
0.333 0.667 0.250
0.667 0.333 0.750
0.148 0.297 0.750
0.148 0.852 0.750
0.297 0.148 0.250
0.703 0.852 0.750
0.852 0.148 0.250
0.852 0.703 0.250
```